i) Here is crystalline CaPrSb2O6 at its relaxed geometry from Materials Project. Energies are from PBE-GGA.

## Properties
- Total magnetization: 0.00 μB per cell

Geometry as CIF:
```
data_CaPrSb2O6
_chemical_formula_sum 'Ca2 Pr2 Sb4 O12'
_space_group_name_H-M_alt 'P 1'
_space_group_IT_number 1
_space_group_name_Hall 'P 1'
_cell_length_a 8.361
_cell_length_b 6.093
_cell_length_c 5.775
_cell_angle_alpha 90.00
_cell_angle_beta 90.00
_cell_angle_gamma 90.00
loop_
_atom_site_label
_atom_site_fract_x
_atom_site_fract_y
_atom_site_fract_z
Ca1 0.000 0.195 0.000
Ca2 0.500 0.805 0.500
Pr1 0.000 0.687 0.536
Pr2 0.500 0.313 0.036
Sb1 0.246 0.243 0.520
Sb2 0.254 0.757 0.020
Sb3 0.746 0.757 0.020
Sb4 0.754 0.243 0.520
O1 0.000 0.305 0.389
O2 0.000 0.811 0.146
O3 0.184 0.441 0.810
O4 0.184 0.950 0.696
O5 0.316 0.050 0.196
O6 0.316 0.559 0.310
O7 0.500 0.189 0.646
O8 0.500 0.695 0.889
O9 0.684 0.050 0.196
O10 0.684 0.559 0.310
O11 0.816 0.441 0.810
O12 0.816 0.950 0.696
```

***

ii) Here is crystalline CaPrSb2O6 at its relaxed geometry from Materials Project. Energies are from PBE-GGA.

## Properties
- Total magnetization: 0.00 μB per cell

Geometry as CIF:
```
data_CaPrSb2O6
_chemical_formula_sum 'Ca1 Pr1 Sb2 O6'
_space_group_name_H-M_alt 'P 1'
_space_group_IT_number 1
_space_group_name_Hall 'P 1'
_cell_length_a 6.020
_cell_length_b 6.020
_cell_length_c 6.020
_cell_angle_alpha 60.00
_cell_angle_beta 60.00
_cell_angle_gamma 60.00
loop_
_atom_site_label
_atom_site_fract_x
_atom_site_fract_y
_atom_site_fract_z
Ca1 0.000 0.000 0.000
Pr1 0.500 0.500 0.500
Sb1 0.250 0.250 0.250
Sb2 0.750 0.750 0.750
O1 0.000 0.000 0.500
O2 0.000 0.500 0.000
O3 0.000 0.500 0.500
O4 0.500 0.000 0.000
O5 0.500 0.000 0.500
O6 0.500 0.500 0.000
```

***

iii) Here is crystalline CaPrSb2O6 at its relaxed geometry from Materials Project. Energies are from PBE-GGA.

## Properties
- Total magnetization: 0.00 μB per cell

Geometry as CIF:
```
data_CaPrSb2O6
_chemical_formula_sum 'Ca1 Pr1 Sb2 O6'
_space_group_name_H-M_alt 'P 1'
_space_group_IT_number 1
_space_group_name_Hall 'P 1'
_cell_length_a 5.904
_cell_length_b 5.904
_cell_length_c 4.293
_cell_angle_alpha 90.00
_cell_angle_beta 90.00
_cell_angle_gamma 90.69
loop_
_atom_site_label
_atom_site_fract_x
_atom_site_fract_y
_atom_site_fract_z
Ca1 0.000 0.000 0.000
Pr1 0.500 0.500 0.000
Sb1 0.000 0.500 0.500
Sb2 0.500 0.000 0.500
O1 0.000 0.500 0.000
O2 0.172 0.172 0.500
O3 0.338 0.662 0.500
O4 0.500 0.000 0.000
O5 0.662 0.338 0.500
O6 0.828 0.828 0.500
```

***

Most stable = i)

***

i) Here is crystalline CaPtO6 at its relaxed geometry from Materials Project. Energies are from PBE-GGA.

## Properties
- Total magnetization: 0.00 μB per cell

Geometry as CIF:
```
data_CaPtO6
_chemical_formula_sum 'Ca2 Pt2 O12'
_space_group_name_H-M_alt 'P 1'
_space_group_IT_number 1
_space_group_name_Hall 'P 1'
_cell_length_a 6.656
_cell_length_b 6.656
_cell_length_c 7.173
_cell_angle_alpha 90.35
_cell_angle_beta 90.35
_cell_angle_gamma 120.47
loop_
_atom_site_label
_atom_site_fract_x
_atom_site_fract_y
_atom_site_fract_z
Ca1 0.168 0.832 0.500
Ca2 0.832 0.168 0.000
Pt1 0.500 0.501 0.248
Pt2 0.501 0.500 0.748
O1 0.214 0.408 0.908
O2 0.216 0.295 0.082
O3 0.295 0.216 0.582
O4 0.302 0.588 0.410
O5 0.408 0.214 0.408
O6 0.417 0.701 0.586
O7 0.586 0.784 0.085
O8 0.588 0.302 0.910
O9 0.701 0.417 0.086
O10 0.702 0.784 0.914
O11 0.784 0.586 0.585
O12 0.784 0.702 0.414
```

***

ii) Here is crystalline CaPtO6 at its relaxed geometry from Materials Project. Energies are from PBE-GGA.

## Properties
- Total magnetization: 0.00 μB per cell

Geometry as CIF:
```
data_CaPtO6
_chemical_formula_sum 'Ca2 Pt2 O12'
_space_group_name_H-M_alt 'P 1'
_space_group_IT_number 1
_space_group_name_Hall 'P 1'
_cell_length_a 6.654
_cell_length_b 6.654
_cell_length_c 7.141
_cell_angle_alpha 90.30
_cell_angle_beta 90.30
_cell_angle_gamma 120.39
loop_
_atom_site_label
_atom_site_fract_x
_atom_site_fract_y
_atom_site_fract_z
Ca1 0.168 0.832 0.750
Ca2 0.832 0.168 0.250
Pt1 0.500 0.500 0.000
Pt2 0.500 0.500 0.500
O1 0.214 0.414 0.163
O2 0.215 0.295 0.333
O3 0.295 0.215 0.833
O4 0.299 0.584 0.663
O5 0.414 0.214 0.663
O6 0.416 0.701 0.837
O7 0.584 0.299 0.163
O8 0.586 0.786 0.337
O9 0.701 0.416 0.337
O10 0.705 0.785 0.167
O11 0.785 0.705 0.667
O12 0.786 0.586 0.837
```

***

Most stable = ii)

***

i) Here is crystalline Rb4CaSe4O14 at its relaxed geometry from Materials Project. Energies are from PBE-GGA.

## Properties
- Total magnetization: 0.00 μB per cell

Geometry as CIF:
```
data_Rb4CaSe4O14
_chemical_formula_sum 'Rb4 Ca1 Se4 O14'
_space_group_name_H-M_alt 'P 1'
_space_group_IT_number 1
_space_group_name_Hall 'P 1'
_cell_length_a 7.674
_cell_length_b 8.120
_cell_length_c 8.755
_cell_angle_alpha 113.50
_cell_angle_beta 91.35
_cell_angle_gamma 93.63
loop_
_atom_site_label
_atom_site_fract_x
_atom_site_fract_y
_atom_site_fract_z
Rb1 0.000 0.000 0.000
Rb2 0.127 0.732 0.334
Rb3 0.524 0.296 0.062
Rb4 0.651 0.109 0.494
Ca1 0.393 0.644 0.673
Se1 0.006 0.434 0.903
Se2 0.176 0.245 0.532
Se3 0.482 0.857 0.076
Se4 0.734 0.636 0.513
O1 0.005 0.121 0.420
O2 0.104 0.445 0.713
O3 0.166 0.389 0.007
O4 0.277 0.376 0.450
O5 0.301 0.149 0.621
O6 0.345 0.948 0.233
O7 0.373 0.882 0.906
O8 0.547 0.733 0.491
O9 0.657 0.011 0.125
O10 0.665 0.528 0.634
O11 0.794 0.496 0.328
O12 0.845 0.273 0.837
O13 0.893 0.796 0.610
O14 0.950 0.641 0.997
```

***

ii) Here is crystalline Rb4CaSe4O14 at its relaxed geometry from Materials Project. Energies are from PBE-GGA.

## Properties
- Total magnetization: 0.00 μB per cell

Geometry as CIF:
```
data_Rb4CaSe4O14
_chemical_formula_sum 'Rb4 Ca1 Se4 O14'
_space_group_name_H-M_alt 'P 1'
_space_group_IT_number 1
_space_group_name_Hall 'P 1'
_cell_length_a 8.068
_cell_length_b 8.099
_cell_length_c 8.103
_cell_angle_alpha 86.49
_cell_angle_beta 83.96
_cell_angle_gamma 63.26
loop_
_atom_site_label
_atom_site_fract_x
_atom_site_fract_y
_atom_site_fract_z
Rb1 0.000 0.000 0.000
Rb2 0.094 0.518 0.364
Rb3 0.442 0.047 0.681
Rb4 0.801 0.548 0.839
Ca1 0.365 0.826 0.317
Se1 0.297 0.505 0.846
Se2 0.463 0.103 0.132
Se3 0.687 0.439 0.336
Se4 0.921 0.014 0.563
O1 0.016 0.130 0.648
O2 0.066 0.893 0.400
O3 0.149 0.598 0.012
O4 0.194 0.439 0.713
O5 0.370 0.113 0.336
O6 0.373 0.970 0.050
O7 0.385 0.644 0.759
O8 0.477 0.514 0.257
O9 0.485 0.306 0.905
O10 0.667 0.641 0.419
O11 0.691 0.970 0.125
O12 0.714 0.162 0.491
O13 0.859 0.373 0.181
O14 0.875 0.873 0.696
```

***

iii) Here is crystalline Rb4CaSe4O14 at its relaxed geometry from Materials Project. Energies are from PBE-GGA.

## Properties
- Total magnetization: 0.01 μB per cell

Geometry as CIF:
```
data_Rb4CaSe4O14
_chemical_formula_sum 'Rb4 Ca1 Se4 O14'
_space_group_name_H-M_alt 'P 1'
_space_group_IT_number 1
_space_group_name_Hall 'P 1'
_cell_length_a 8.383
_cell_length_b 8.383
_cell_length_c 8.052
_cell_angle_alpha 97.56
_cell_angle_beta 97.56
_cell_angle_gamma 59.05
loop_
_atom_site_label
_atom_site_fract_x
_atom_site_fract_y
_atom_site_fract_z
Rb1 0.115 0.554 0.191
Rb2 0.129 0.129 0.350
Rb3 0.446 0.885 0.809
Rb4 0.871 0.871 0.650
Ca1 0.577 0.423 0.000
Se1 0.370 0.443 0.644
Se2 0.557 0.630 0.356
Se3 0.767 0.024 0.132
Se4 0.976 0.233 0.868
O1 0.047 0.111 0.684
O2 0.156 0.238 0.983
O3 0.179 0.448 0.544
O4 0.310 0.606 0.811
O5 0.394 0.690 0.189
O6 0.482 0.518 0.500
O7 0.520 0.242 0.736
O8 0.551 0.212 0.153
O9 0.552 0.821 0.456
O10 0.758 0.480 0.264
O11 0.762 0.844 0.017
O12 0.788 0.449 0.847
O13 0.877 0.123 0.000
O14 0.889 0.953 0.316
```

***

iv) Here is crystalline Rb4CaSe4O14 at its relaxed geometry from Materials Project. Energies are from PBE-GGA.

## Properties
- Total magnetization: 0.00 μB per cell

Geometry as CIF:
```
data_Rb4CaSe4O14
_chemical_formula_sum 'Rb4 Ca1 Se4 O14'
_space_group_name_H-M_alt 'P 1'
_space_group_IT_number 1
_space_group_name_Hall 'P 1'
_cell_length_a 7.910
_cell_length_b 8.051
_cell_length_c 8.215
_cell_angle_alpha 64.55
_cell_angle_beta 82.53
_cell_angle_gamma 82.53
loop_
_atom_site_label
_atom_site_fract_x
_atom_site_fract_y
_atom_site_fract_z
Rb1 0.000 0.000 0.000
Rb2 0.141 0.395 0.502
Rb3 0.293 0.585 0.904
Rb4 0.610 0.715 0.394
Ca1 0.670 0.961 0.710
Se1 0.077 0.892 0.462
Se2 0.436 0.082 0.959
Se3 0.617 0.295 0.324
Se4 0.832 0.507 0.944
O1 0.111 0.103 0.306
O2 0.258 0.758 0.525
O3 0.383 0.946 0.857
O4 0.406 0.298 0.794
O5 0.466 0.466 0.257
O6 0.553 0.084 0.415
O7 0.658 0.026 0.952
O8 0.671 0.633 0.822
O9 0.736 0.298 0.117
O10 0.744 0.311 0.461
O11 0.907 0.604 0.056
O12 0.960 0.786 0.383
O13 0.965 0.906 0.649
O14 0.973 0.409 0.840
```

***

Most stable = iv)